Material: LiFeP2O7
Method: DFT, GGA+U
State: relaxed

* formation enthalpy at 0 K: -2.45 eV per atom

Structure (CIF):
```
data_LiFeP2O7
_chemical_formula_sum 'Li8 Fe8 P16 O56'
_space_group_name_H-M_alt 'P 1'
_space_group_IT_number 1
_cell_length_a 9.7315
_cell_length_b 9.7854
_cell_length_c 11.1419
_cell_angle_alpha 90.06
_cell_angle_beta 101.85
_cell_angle_gamma 90.24
loop_
_space_group_symop_operation_xyz
'x,y,z'
loop_
_atom_site_label
_atom_site_fract_x
_atom_site_fract_y
_atom_site_fract_z
Li1 0.0000 0.0000 0.0000
Li2 0.0056 0.9853 0.5266
Li3 0.0311 0.6906 0.5929
Li4 0.0562 0.2984 0.0176
Li5 0.2437 0.5145 0.0766
Li6 0.5432 0.3723 0.5514
Li7 0.5682 0.0083 0.0291
Li8 0.7964 0.5207 0.0940
Fe1 0.3520 0.3233 0.7211
Fe2 0.3983 0.6203 0.8738
Fe3 0.4053 0.1130 0.2265
Fe4 0.4418 0.8237 0.3844
Fe5 0.8479 0.9931 0.7198
Fe6 0.8902 0.7027 0.8731
Fe7 0.8931 0.1833 0.2230
Fe8 0.9411 0.4787 0.3812
P1 0.0225 0.2668 0.6221
P2 0.0405 0.6929 0.1678
P3 0.0839 0.4864 0.8107
P4 0.1278 0.9607 0.2909
P5 0.1660 0.8584 0.7980
P6 0.2078 0.3285 0.2817
P7 0.2669 0.1164 0.9339
P8 0.2733 0.5491 0.4738
P9 0.5212 0.0517 0.6204
P10 0.5352 0.6229 0.1666
P11 0.5778 0.8312 0.8113
P12 0.6235 0.3542 0.2940
P13 0.6677 0.4574 0.7961
P14 0.7222 0.9932 0.2927
P15 0.7578 0.1963 0.9303
P16 0.7732 0.7651 0.4671
O1 0.0109 0.3531 0.7436
O2 0.0162 0.8800 0.8344
O3 0.0440 0.0563 0.1885
O4 0.0459 0.8162 0.2640
O5 0.0548 0.3141 0.3064
O6 0.0801 0.4724 0.9443
O7 0.1184 0.0002 0.4171
O8 0.1181 0.5614 0.4855
O9 0.1226 0.1382 0.9577
O10 0.1512 0.8395 0.6628
O11 0.1782 0.2565 0.6198
O12 0.1853 0.6616 0.1543
O13 0.2090 0.3435 0.1476
O14 0.2355 0.4941 0.7838
O15 0.2457 0.7480 0.8822
O16 0.2557 0.9952 0.8345
O17 0.2694 0.4667 0.3474
O18 0.2810 0.9425 0.2686
O19 0.3076 0.2125 0.3360
O20 0.3266 0.2362 0.8730
O21 0.3317 0.6894 0.4517
O22 0.3633 0.4649 0.5752
O23 0.3710 0.0664 0.0513
O24 0.4279 0.5774 0.0465
O25 0.4401 0.9776 0.5087
O26 0.4679 0.1956 0.6433
O27 0.4726 0.7362 0.2330
O28 0.4906 0.7065 0.7542
O29 0.5090 0.9637 0.7404
O30 0.5171 0.4408 0.8269
O31 0.5384 0.4934 0.2584
O32 0.5454 0.2470 0.2024
O33 0.5669 0.9950 0.3080
O34 0.5689 0.8422 0.9435
O35 0.6144 0.1592 0.9439
O36 0.6221 0.7555 0.4809
O37 0.6251 0.3258 0.4246
O38 0.6701 0.4814 0.6655
O39 0.6776 0.6462 0.1426
O40 0.6797 0.0614 0.6227
O41 0.7339 0.8259 0.7882
O42 0.7394 0.0151 0.1607
O43 0.7515 0.3155 0.8316
O44 0.7545 0.5590 0.8920
O45 0.7761 0.3731 0.2639
O46 0.7782 0.8460 0.3406
O47 0.8242 0.0999 0.3657
O48 0.8405 0.0817 0.8794
O49 0.8436 0.6281 0.4524
O50 0.8589 0.2533 0.0501
O51 0.8682 0.8478 0.5709
O52 0.9373 0.3415 0.5126
O53 0.9456 0.7451 0.0440
O54 0.9613 0.5775 0.2212
O55 0.9652 0.1239 0.6451
O56 0.9922 0.6099 0.7558
```